A plane-wave DFT calculation with GGA-PBE was carried out for crystalline Ba2GdCu3O7 at its relaxed geometry.

abc: 3.8660 3.9300 11.8380
angles: 90.00 90.00 90.00
Element x y z (fractional)
Ba 0.0000 0.0000 0.1807
Ba 0.0000 0.0000 0.8193
Gd 0.0000 0.0000 0.5000
Cu 0.5000 0.5000 0.0000
Cu 0.5000 0.5000 0.3516
Cu 0.5000 0.5000 0.6484
O 0.0000 0.5000 0.3759
O 0.0000 0.5000 0.6241
O 0.5000 0.0000 0.0000
O 0.5000 0.0000 0.3765
O 0.5000 0.0000 0.6235
O 0.5000 0.5000 0.1590
O 0.5000 0.5000 0.8410

Summary:
total magnetization: 6.93 μB per cell
formation energy from the elements: -28.215 eV per formula unit
energy with MP2020 corrections: -0.263 Ha/atom
calculated volume: 179.9 Å³/cell

***

A plane-wave DFT calculation with GGA-PBE was carried out for crystalline Ba2GdCu4O8 at its relaxed geometry.

abc: 13.8377 13.8377 3.8996
angles: 90.00 90.00 163.74
Element x y z (fractional)
Ba 0.1354 0.8646 0.0000
Ba 0.8646 0.1354 0.0000
Gd 0.0000 0.0000 0.0000
Cu 0.2874 0.7126 0.5000
Cu 0.4384 0.5616 0.5000
Cu 0.5616 0.4384 0.5000
Cu 0.7126 0.2874 0.5000
O 0.0526 0.9474 0.5000
O 0.2181 0.7819 0.5000
O 0.3548 0.6452 0.5000
O 0.4474 0.5526 0.0000
O 0.5526 0.4474 0.0000
O 0.6452 0.3548 0.5000
O 0.7819 0.2181 0.5000
O 0.9474 0.0526 0.5000

Summary:
total magnetization: 6.95 μB per cell
formation energy from the elements: -30.669 eV per formula unit
energy with MP2020 corrections: -0.256 Ha/atom
calculated volume: 209.1 Å³/cell